HfMg14Zr after structural relaxation, computed with PBE.

Cell: 6.451 6.302 10.235 Å, 90.00 90.00 119.24°
Positions (direct):
Hf (0.168, 0.834, 0.125)
Mg (0.166, 0.333, 0.625)
Mg (0.166, 0.833, 0.625)
Mg (0.665, 0.333, 0.125)
Mg (0.667, 0.333, 0.625)
Mg (0.665, 0.833, 0.125)
Mg (0.667, 0.833, 0.625)
Mg (0.332, 0.166, 0.374)
Mg (0.332, 0.166, 0.876)
Mg (0.332, 0.666, 0.374)
Mg (0.332, 0.666, 0.876)
Mg (0.835, 0.167, 0.374)
Mg (0.835, 0.167, 0.876)
Mg (0.835, 0.668, 0.374)
Mg (0.835, 0.668, 0.876)
Zr (0.167, 0.334, 0.125)

Calculated values
* theoretical density: 2.79 g cm⁻³
* space group: No. 38
* calculated volume: 22.69 Å³/atom
* offset from the most stable computed form: 0.000 eV per atom
* calculated formation energy: 0.051 eV per atom
* energy: -2.506 eV per atom

MgInNi2 after structural relaxation, computed with PBE.

Cell: 4.369 4.369 4.369 Å, 60.00 60.00 60.00°
Positions (direct):
Mg (0.500, 0.500, 0.500)
In (0.000, 0.000, 0.000)
Ni (0.750, 0.750, 0.750)
Ni (0.250, 0.250, 0.250)

Calculated values
* theoretical density: 7.22 g cm⁻³
* space group: No. 225
* calculated volume: 14.75 Å³/atom
* calculated formation energy: -0.196 eV per atom
* energy: -4.174 eV per atom

SrTiO3 after structural relaxation, computed with PBE.

Cell: 5.629 5.629 13.886 Å, 90.00 90.00 120.00°
Positions (direct):
Sr (0.333, 0.667, 0.101)
Sr (0.000, 0.000, 0.250)
Sr (0.000, 0.000, 0.750)
Sr (0.333, 0.667, 0.399)
Sr (0.667, 0.333, 0.601)
Sr (0.667, 0.333, 0.899)
Ti (0.333, 0.667, 0.846)
Ti (0.000, 0.000, 0.000)
Ti (0.000, 0.000, 0.500)
Ti (0.333, 0.667, 0.654)
Ti (0.667, 0.333, 0.154)
Ti (0.667, 0.333, 0.346)
O (0.165, 0.835, 0.918)
O (0.165, 0.835, 0.582)
O (0.022, 0.511, 0.750)
O (0.489, 0.978, 0.750)
O (0.165, 0.329, 0.918)
O (0.165, 0.329, 0.582)
O (0.489, 0.511, 0.750)
O (0.329, 0.165, 0.082)
O (0.329, 0.165, 0.418)
O (0.671, 0.835, 0.582)
O (0.671, 0.835, 0.918)
O (0.511, 0.489, 0.250)
O (0.511, 0.022, 0.250)
O (0.835, 0.671, 0.418)
O (0.835, 0.671, 0.082)
O (0.978, 0.489, 0.250)
O (0.835, 0.165, 0.418)
O (0.835, 0.165, 0.082)

Calculated values
* theoretical density: 4.80 g cm⁻³
* space group: No. 194
* calculated volume: 12.70 Å³/atom
* calculated formation energy: -3.513 eV per atom
* energy: -7.987 eV per atom

PrLu3S6 after structural relaxation, computed with PBE.

Cell: 3.948 11.004 11.209 Å, 70.95 90.00 90.00°
Positions (direct):
Pr (0.750, 0.551, 0.804)
Pr (0.250, 0.449, 0.196)
Lu (0.750, 0.179, 0.000)
Lu (0.250, 0.821, 0.000)
Lu (0.750, 0.944, 0.666)
Lu (0.250, 0.056, 0.334)
Lu (0.750, 0.661, 0.413)
Lu (0.250, 0.339, 0.587)
S (0.750, 0.978, 0.888)
S (0.250, 0.022, 0.112)
S (0.750, 0.302, 0.749)
S (0.250, 0.698, 0.251)
S (0.750, 0.893, 0.442)
S (0.250, 0.107, 0.558)
S (0.750, 0.419, 0.408)
S (0.250, 0.581, 0.592)
S (0.750, 0.230, 0.230)
S (0.250, 0.770, 0.770)
S (0.750, 0.621, 0.036)
S (0.250, 0.379, 0.964)

Calculated values
* theoretical density: 6.19 g cm⁻³
* space group: No. 11
* calculated volume: 23.01 Å³/atom
* calculated formation energy: -2.375 eV per atom
* energy: -6.389 eV per atom

Na7Ca2Nb2Si3P3O24 after structural relaxation, computed with PBE.

Cell: 9.289 9.300 22.568 Å, 90.01 89.93 119.85°
Positions (direct):
Na (0.624, 0.982, 0.260)
Na (0.348, 0.369, 0.255)
Na (0.032, 0.654, 0.255)
Na (0.658, 0.628, 0.745)
Na (0.981, 0.354, 0.741)
Na (0.370, 0.020, 0.742)
Na (0.007, 0.669, 0.585)
Na (0.673, 0.998, 0.584)
Na (0.271, 0.941, 0.087)
Na (0.668, 0.718, 0.078)
Na (0.055, 0.336, 0.088)
Na (0.986, 0.689, 0.906)
Na (0.317, 0.293, 0.908)
Na (0.958, 0.312, 0.428)
Na (0.357, 0.034, 0.425)
Na (0.002, 0.003, 0.502)
Na (0.974, 0.983, 0.994)
Na (0.668, 0.329, 0.820)
Na (0.666, 0.341, 0.349)
Na (0.317, 0.667, 0.173)
Na (0.327, 0.653, 0.663)
Ca (0.993, 0.998, 0.851)
Ca (0.998, 0.997, 0.143)
Ca (0.666, 0.334, 0.673)
Ca (0.661, 0.334, 0.491)
Ca (0.334, 0.669, 0.023)
Ca (0.337, 0.668, 0.321)
Nb (0.998, 0.003, 0.350)
Nb (0.011, 0.005, 0.652)
Nb (0.670, 0.333, 0.192)
Nb (0.670, 0.337, 0.974)
Nb (0.339, 0.669, 0.514)
Nb (0.337, 0.667, 0.816)
Si (0.299, 0.005, 0.246)
Si (0.996, 0.295, 0.245)
Si (0.302, 0.305, 0.756)
Si (0.004, 0.698, 0.755)
Si (0.987, 0.334, 0.583)
Si (0.350, 0.014, 0.582)
Si (0.949, 0.617, 0.083)
Si (0.630, 0.663, 0.923)
Si (0.643, 0.971, 0.412)
P (0.711, 0.701, 0.248)
P (0.696, 0.992, 0.750)
P (0.670, 0.655, 0.587)
P (0.664, 0.056, 0.083)
P (0.389, 0.332, 0.083)
P (0.036, 0.379, 0.919)
P (0.344, 0.967, 0.919)
P (0.324, 0.359, 0.411)
P (0.036, 0.676, 0.414)
O (0.189, 0.025, 0.304)
O (0.834, 0.805, 0.300)
O (0.973, 0.163, 0.303)
O (0.228, 0.209, 0.816)
O (0.976, 0.772, 0.814)
O (0.800, 0.022, 0.805)
O (0.783, 0.966, 0.694)
O (0.165, 0.187, 0.702)
O (0.018, 0.827, 0.699)
O (0.775, 0.792, 0.189)
O (0.019, 0.219, 0.185)
O (0.195, 0.975, 0.186)
O (0.928, 0.396, 0.640)
O (0.468, 0.077, 0.639)
O (0.632, 0.560, 0.645)
O (0.835, 0.504, 0.142)
O (0.664, 0.153, 0.141)
O (0.489, 0.329, 0.139)
O (0.489, 0.333, 0.026)
O (0.838, 0.501, 0.024)
O (0.661, 0.158, 0.028)
O (0.418, 0.120, 0.523)
O (0.718, 0.576, 0.537)
O (0.861, 0.280, 0.527)
O (0.547, 0.669, 0.984)
O (0.124, 0.457, 0.977)
O (0.318, 0.870, 0.976)
O (0.525, 0.841, 0.468)
O (0.312, 0.471, 0.462)
O (0.161, 0.692, 0.466)
O (0.104, 0.653, 0.355)
O (0.545, 0.897, 0.352)
O (0.333, 0.436, 0.351)
O (0.136, 0.502, 0.865)
O (0.357, 0.865, 0.864)
O (0.499, 0.645, 0.865)
O (0.041, 0.848, 0.413)
O (0.826, 0.974, 0.410)
O (0.150, 0.187, 0.414)
O (0.017, 0.209, 0.912)
O (0.199, 0.000, 0.913)
O (0.819, 0.805, 0.918)
O (0.002, 0.166, 0.598)
O (0.156, 0.979, 0.595)
O (0.821, 0.837, 0.593)
O (0.954, 0.791, 0.074)
O (0.823, 0.046, 0.078)
O (0.219, 0.176, 0.077)
O (0.661, 0.136, 0.742)
O (0.486, 0.336, 0.743)
O (0.853, 0.512, 0.745)
O (0.712, 0.530, 0.249)
O (0.814, 0.295, 0.247)
O (0.478, 0.190, 0.247)
O (0.625, 0.475, 0.918)
O (0.861, 0.371, 0.917)
O (0.511, 0.140, 0.919)
O (0.672, 0.156, 0.421)
O (0.465, 0.323, 0.421)
O (0.865, 0.528, 0.426)
O (0.378, 0.491, 0.089)
O (0.126, 0.625, 0.092)
O (0.506, 0.887, 0.089)
O (0.318, 0.819, 0.570)
O (0.518, 0.680, 0.571)
O (0.175, 0.491, 0.565)
O (0.337, 0.855, 0.253)
O (0.533, 0.663, 0.257)
O (0.147, 0.481, 0.253)
O (0.300, 0.487, 0.758)
O (0.190, 0.704, 0.757)
O (0.523, 0.823, 0.756)

Calculated values
* theoretical density: 2.91 g cm⁻³
* space group: No. 1
* calculated volume: 13.75 Å³/atom
* calculated formation energy: -2.856 eV per atom
* energy: -6.960 eV per atom

IO3 after structural relaxation, computed with PBE.

Cell: 5.333 6.851 6.905 Å, 98.05 95.82 104.66°
Positions (direct):
I (0.003, 0.171, 0.671)
I (0.997, 0.829, 0.329)
I (0.815, 0.663, 0.777)
I (0.185, 0.337, 0.223)
O (0.212, 0.981, 0.583)
O (0.788, 0.019, 0.417)
O (0.803, 0.957, 0.800)
O (0.197, 0.043, 0.200)
O (0.848, 0.300, 0.151)
O (0.152, 0.700, 0.849)
O (0.795, 0.635, 0.481)
O (0.205, 0.365, 0.519)
O (0.251, 0.288, 0.891)
O (0.749, 0.712, 0.109)
O (0.243, 0.685, 0.295)
O (0.757, 0.315, 0.705)

Calculated values
* theoretical density: 4.86 g cm⁻³
* space group: No. 2
* calculated volume: 14.95 Å³/atom
* offset from the most stable computed form: 0.000 eV per atom
* calculated formation energy: -0.609 eV per atom
* energy: -4.186 eV per atom